First-principles (PBE+U) data for Li3Fe3WO8 after structural relaxation, as listed in Materials Project.

Calculated values
energy	-6.410	eV/atom
E_form	-1945	meV/atom

Unit cell a=6.097 b=6.097 c=6.106 alpha=118.77 beta=118.77 gamma=60.27
Fractional positions:
Li 0.000 0.000 0.000
Li 0.000 0.500 0.500
Li 0.500 0.000 0.500
Fe 0.000 0.500 0.000
Fe 0.500 0.000 0.000
Fe 0.500 0.500 0.500
W 0.000 0.000 0.500
O 0.223 0.223 0.723
O 0.230 0.759 0.719
O 0.241 0.770 0.281
O 0.274 0.274 0.258
O 0.726 0.726 0.742
O 0.759 0.230 0.719
O 0.770 0.241 0.281
O 0.777 0.777 0.277